Entry 1:
A geometry-optimized BaLiF3 structure, computed with meta-GGA r2SCAN.

Summary:
The magnetization is 0.0 μB per formula unit. The theoretical density comes out at 5267 kg/m3.

a = 3.989 Å, b = 3.989 Å, c = 3.989 Å
α = 90.00°, β = 90.00°, γ = 90.00°
Space group Pm-3m (No. 221)
Symmetry-distinct sites (fractional):
Ba 0.000 0.000 0.000
Li 0.500 0.500 0.500
F 0.000 0.500 0.500

=====

Entry 2:
A geometry-optimized MgO structure, computed with meta-GGA r2SCAN.

Summary:
The magnetization is 0.0 μB per formula unit. The theoretical density comes out at 3629 kg/m3.

a = 4.194 Å, b = 4.194 Å, c = 4.194 Å
α = 90.00°, β = 90.00°, γ = 90.00°
Space group Fm-3m (No. 225)
Symmetry-distinct sites (fractional):
Mg 0.000 0.000 0.000
O 0.000 0.000 0.500

=====

Entry 3:
A geometry-optimized ThN structure, computed with meta-GGA r2SCAN.

Summary:
The magnetization is 0.0 μB per formula unit. The theoretical density comes out at 11829 kg/m3.

a = 5.170 Å, b = 5.170 Å, c = 5.170 Å
α = 90.00°, β = 90.00°, γ = 90.00°
Space group Fm-3m (No. 225)
Symmetry-distinct sites (fractional):
Th 0.000 0.000 0.000
N 0.000 0.000 0.500

=====

Entry 4:
A geometry-optimized Ce2Ge2IrRh structure, computed with meta-GGA r2SCAN.

Summary:
The magnetization is 1.9 μB per formula unit. The theoretical density comes out at 10078 kg/m3.

a = 4.456 Å, b = 7.465 Å, c = 7.138 Å
α = 90.00°, β = 90.00°, γ = 90.00°
Space group Pmc2_1 (No. 26)
Symmetry-distinct sites (fractional):
Ce 0.000 0.049 0.000
Ce 0.500 0.447 0.961
Ge 0.000 0.336 0.657
Ge 0.500 0.166 0.303
Ir 0.000 0.336 0.270
Rh 0.500 0.164 0.688

=====

Number 1: final energy -11.418 eV per atom. Number 2: final energy -8.064 eV per atom. Number 3: final energy -43.073 eV per atom. Number 4: final energy -28.617 eV per atom.